1.
Crystalline Ni7P6O24 at its relaxed geometry. Source: the Materials Project, functional PBE+U.

As for the space-group type: No. 8. The volume comes out at 12.45 Å³ per atom. As for the electronic total energy: -225.9 eV per cell. As for the energy above the lowest structure with this stoichiometry: 0.1601 eV/atom.

Cell: 8.7778 8.7778 6.5710 Å, 80.45 80.45 108.42°
Last column: nearest neighbours and their distance in Å.
Fractional coordinates of all 37 atoms:
P  0.0942  0.7240  0.2950  4 O 1.50-1.61
P  0.7240  0.0942  0.2950  4 O 1.50-1.61
P  0.2760  0.9058  0.7050  4 O 1.50-1.59
P  0.6679  0.6679  0.0750  4 O 1.44-1.57
P  0.9058  0.2760  0.7050  4 O 1.50-1.59
P  0.3321  0.3321  0.9250  4 O 1.44-1.60
O  0.6498  0.9771  0.5094  1 P 1.50
O  0.1992  0.1992  0.8645  1 P 1.53
O  0.5540  0.5540  0.2636  1 P 1.44
O  0.5690  0.7492  0.9413  1 P 1.57
O  0.0229  0.3502  0.4906  1 P 1.50
O  0.2495  0.7165  0.7183  1 P 1.59
O  0.7492  0.5690  0.9413  1 P 1.57
O  0.7386  0.2712  0.2886  1 P 1.51
O  0.9771  0.6498  0.5094  1 P 1.50
O  0.7165  0.2495  0.7183  1 P 1.59
O  0.1087  0.9036  0.2108  1 P 1.54
O  0.6080  0.0388  0.1340  1 P 1.61
O  0.3502  0.0229  0.4906  1 P 1.50
O  0.0388  0.6080  0.1340  1 P 1.61
O  0.3842  0.9476  0.8725  1 P 1.58
O  0.2712  0.7386  0.2886  1 P 1.51
O  0.9476  0.3842  0.8725  1 P 1.58
O  0.4460  0.4460  0.7364  1 P 1.44
O  0.2413  0.4220  0.0696  1 P 1.60
O  0.9036  0.1087  0.2108  1 P 1.54
O  0.4220  0.2413  0.0696  1 P 1.60
O  0.0964  0.8913  0.7892  1 P 1.54
O  0.8913  0.0964  0.7892  1 P 1.54
O  0.8008  0.8008  0.1355  1 P 1.53
Ni  0.6438  0.0063  0.8066  6 O 1.98-2.20
Ni  0.9937  0.3562  0.1934  6 O 2.01-2.20
Ni  0.0000  0.0000  0.0000  6 O 1.99-2.03
Ni  0.6754  0.3246  0.0000  4 O 1.98-2.08
Ni  0.3562  0.9937  0.1934  6 O 2.01-2.20
Ni  0.3246  0.6754  0.0000  4 O 1.98-2.08
Ni  0.0063  0.6438  0.8066  6 O 1.98-2.20



2.
Crystalline NiP3O9 at its relaxed geometry. Source: the Materials Project, functional PBE+U.

As for the space-group type: No. 57. The volume comes out at 14.91 Å³ per atom. As for the electronic total energy: -349.3 eV per cell. As for the energy above the lowest structure with this stoichiometry: 0.0026 eV/atom.

Cell: 5.0467 11.9290 12.8812 Å, 90.00 90.00 90.00°
Last column: nearest neighbours and their distance in Å.
Fractional coordinates of all 52 atoms:
O  0.0802  0.8464  0.5462  1 P 1.50
O  0.7937  0.9383  0.1225  1 P 1.50
O  0.5668  0.2941  0.0873  2 P 1.60-1.61
O  0.0802  0.6536  0.4538  1 P 1.50
O  0.2063  0.0617  0.8775  1 P 1.50
O  0.7937  0.5617  0.6225  1 P 1.50
O  0.5668  0.2941  0.4127  2 P 1.60-1.61
O  0.0802  0.6536  0.0462  1 P 1.50
O  0.2063  0.0617  0.6225  1 P 1.50
O  0.4332  0.7941  0.0873  2 P 1.60-1.61
O  0.9198  0.3464  0.5462  1 P 1.50
O  0.7937  0.9383  0.3775  1 P 1.50
O  0.5668  0.2059  0.9127  2 P 1.60-1.61
O  0.3169  0.4961  0.9135  1 P 1.51
O  0.4332  0.7059  0.5873  2 P 1.60-1.61
O  0.9198  0.1536  0.0462  1 P 1.50
O  0.4332  0.7059  0.9127  2 P 1.60-1.61
O  0.2063  0.4383  0.3775  1 P 1.50
O  0.4237  0.8970  0.2500  2 P 1.59
O  0.0802  0.8464  0.9538  1 P 1.50
O  0.5763  0.3970  0.2500  2 P 1.59
O  0.3169  0.4961  0.5865  1 P 1.51
O  0.3169  0.0039  0.4135  1 P 1.51
O  0.9198  0.1536  0.4538  1 P 1.50
O  0.7937  0.5617  0.8775  1 P 1.50
O  0.6831  0.5039  0.0865  1 P 1.51
O  0.5668  0.2059  0.5873  2 P 1.60-1.61
O  0.3169  0.0039  0.0865  1 P 1.51
O  0.4332  0.7941  0.4127  2 P 1.60-1.61
O  0.6831  0.5039  0.4135  1 P 1.51
O  0.6831  0.9961  0.5865  1 P 1.51
O  0.5763  0.1030  0.7500  2 P 1.59
O  0.4237  0.6030  0.7500  2 P 1.59
O  0.6831  0.9961  0.9135  1 P 1.51
O  0.2063  0.4383  0.1225  1 P 1.50
O  0.9198  0.3464  0.9538  1 P 1.50
P  0.5016  0.9169  0.1317  4 O 1.50-1.61
P  0.5016  0.5831  0.8683  4 O 1.50-1.61
P  0.5016  0.5831  0.6317  4 O 1.50-1.61
P  0.4984  0.0831  0.8683  4 O 1.50-1.61
P  0.2318  0.7500  0.0000  4 O 1.50-1.60
P  0.7682  0.2500  0.5000  4 O 1.50-1.60
P  0.7682  0.2500  0.0000  4 O 1.50-1.60
P  0.4984  0.4169  0.1317  4 O 1.50-1.61
P  0.5016  0.9169  0.3683  4 O 1.50-1.61
P  0.2318  0.7500  0.5000  4 O 1.50-1.60
P  0.4984  0.0831  0.6317  4 O 1.50-1.61
P  0.4984  0.4169  0.3683  4 O 1.50-1.61
Ni  0.0000  0.0000  0.0000  6 O 1.95-2.03
Ni  0.0000  0.5000  0.0000  6 O 1.95-2.03
Ni  0.0000  0.0000  0.5000  6 O 1.95-2.03
Ni  0.0000  0.5000  0.5000  6 O 1.95-2.03



3.
Crystalline NiP2O7 at its relaxed geometry. Source: the Materials Project, functional PBE+U.

As for the space-group type: No. 14. The volume comes out at 13.43 Å³ per atom. As for the electronic total energy: -255.2 eV per cell. As for the energy above the lowest structure with this stoichiometry: 0.0079 eV/atom.

Cell: 8.2923 6.9970 9.7107 Å, 72.42 90.00 90.00°
Last column: nearest neighbours and their distance in Å.
Fractional coordinates of all 40 atoms:
O  0.8999  0.2322  0.7869  2 P 1.62
O  0.1743  0.0715  0.8932  1 P 1.55
O  0.0538  0.1367  0.1486  1 P 1.51
O  0.4218  0.4710  0.3669  1 P 1.52
O  0.9057  0.6012  0.6397  1 P 1.51
O  0.1001  0.7678  0.2131  2 P 1.62
O  0.3999  0.7678  0.7131  2 P 1.62
O  0.4057  0.3988  0.8603  1 P 1.51
O  0.6061  0.9024  0.8570  1 P 1.52
O  0.7791  0.4990  0.8848  1 P 1.54
O  0.3939  0.0976  0.1430  1 P 1.52
O  0.0943  0.3988  0.3603  1 P 1.51
O  0.6001  0.2322  0.2869  2 P 1.62
O  0.2209  0.5010  0.1152  1 P 1.54
O  0.5538  0.8633  0.3514  1 P 1.51
O  0.5782  0.5290  0.6331  1 P 1.52
O  0.8257  0.9285  0.1068  1 P 1.55
O  0.7209  0.4990  0.3848  1 P 1.54
O  0.1061  0.0976  0.6430  1 P 1.52
O  0.0782  0.4710  0.8669  1 P 1.52
O  0.9218  0.5290  0.1331  1 P 1.52
O  0.4462  0.1367  0.6486  1 P 1.51
O  0.5943  0.6012  0.1397  1 P 1.51
O  0.6743  0.9285  0.6068  1 P 1.55
O  0.9462  0.8633  0.8514  1 P 1.51
O  0.3257  0.0715  0.3932  1 P 1.55
O  0.8939  0.9024  0.3570  1 P 1.52
O  0.2791  0.5010  0.6152  1 P 1.54
P  0.4186  0.5400  0.7082  4 O 1.51-1.62
P  0.5331  0.9387  0.7081  4 O 1.51-1.62
P  0.5814  0.4600  0.2918  4 O 1.51-1.62
P  0.9669  0.9387  0.2081  4 O 1.51-1.62
P  0.9186  0.4600  0.7918  4 O 1.51-1.62
P  0.4669  0.0613  0.2919  4 O 1.51-1.62
P  0.0331  0.0613  0.7919  4 O 1.51-1.62
P  0.0814  0.5400  0.2082  4 O 1.51-1.62
Ni  0.7296  0.7234  0.4941  6 O 2.03-2.15
Ni  0.2296  0.2766  0.0059  6 O 2.03-2.15
Ni  0.2704  0.2766  0.5059  6 O 2.03-2.15
Ni  0.7704  0.7234  0.9941  6 O 2.03-2.15



4.
Crystalline Ni2P2O7 at its relaxed geometry. Source: the Materials Project, functional PBE+U.

As for the space-group type: No. 14. The volume comes out at 10.71 Å³ per atom. As for the electronic total energy: -143.2 eV per cell. As for the energy above the lowest structure with this stoichiometry: 0.0028 eV/atom.

Cell: 4.5139 5.2667 9.9934 Å, 90.00 90.00 97.47°
Last column: nearest neighbours and their distance in Å.
Fractional coordinates of all 22 atoms:
O  0.1200  0.4638  0.1792  1 P 1.54
O  0.6173  0.7618  0.2035  1 P 1.53
O  0.5000  0.0000  0.5000  2 P 1.57
O  0.3827  0.7382  0.7035  1 P 1.53
O  0.8800  0.5362  0.8208  1 P 1.54
O  0.7867  0.6290  0.5415  1 P 1.54
O  0.3827  0.2382  0.7965  1 P 1.53
O  0.2133  0.3710  0.4585  1 P 1.54
O  0.8800  0.0362  0.6792  1 P 1.54
O  0.7867  0.1290  0.9585  1 P 1.54
O  0.1200  0.9638  0.3208  1 P 1.54
O  0.5000  0.5000  0.0000  2 P 1.57
O  0.2133  0.8710  0.0415  1 P 1.54
O  0.6173  0.2618  0.2965  1 P 1.53
P  0.6421  0.3426  0.8886  4 O 1.53-1.57
P  0.3579  0.1574  0.3886  4 O 1.53-1.57
P  0.3579  0.6574  0.1114  4 O 1.53-1.57
P  0.6421  0.8426  0.6114  4 O 1.53-1.57
Ni  0.9038  0.5830  0.3433  6 O 2.05-2.22
Ni  0.0962  0.4170  0.6567  6 O 2.05-2.22
Ni  0.9038  0.0830  0.1567  6 O 2.05-2.22
Ni  0.0962  0.9170  0.8433  6 O 2.05-2.22